Here is an optimized crystal structure of Na10NbAl7Si6S6O48 from Materials Project. Energies are from PBE.

a b c (Å): 17.3454 8.6928 21.7763
angles (deg): 89.78 89.27 119.79
Last column: nearest neighbours and their distance in Å.
Sites, in units of the cell vectors:
O1 0.0742 0.5073 0.5735  1 Si 1.63
O2 0.5227 0.2013 0.1941  1 Si 1.66
O3 0.6532 0.8375 0.9704  1 S 1.47
O4 0.9159 0.8086 0.5884  1 Si 1.71
O5 0.2651 0.8378 0.4717  1 S 1.50
O6 0.0894 0.9773 0.9120  1 S 1.48
O7 0.8191 0.1385 0.4216  1 S 1.50
O8 0.7554 0.6953 0.2643  1 Si 1.62
O9 0.0600 0.4879 0.8598  1 S 1.51
O10 0.9244 0.5354 0.7501  1 S 1.49
O11 0.5675 0.4949 0.5767  1 S 1.48
O12 0.0213 0.2048 0.1920  1 Si 1.68
O13 0.7341 0.1571 0.2441  1 S 1.48
O14 0.5924 0.1615 0.0878  1 Si 1.66
O15 0.0792 0.4679 0.9700  1 S 1.48
O16 0.4858 0.1533 0.3129  1 Si 1.61, 1 Al 1.80
O17 0.0841 0.1995 0.6944  1 Si 1.69
O18 0.7711 0.8525 0.4737  1 S 1.49
O19 0.4872 0.8097 0.0921  1 Si 1.69
O20 0.5806 0.6980 0.7580  1 S 1.47
O21 0.8450 0.1639 0.0272  1 S 1.45
O22 0.7423 0.1216 0.6379  1 S 1.50
O23 0.8222 0.4902 0.9207  1 Si 1.67, 1 Al 1.82
O24 0.5876 0.9767 0.9125  1 S 1.51
O25 0.1016 0.1779 0.0842  1 S 1.51
O26 0.8231 0.1346 0.1398  1 S 1.49
O27 0.7492 0.3526 0.4237  1 S 1.50
O28 0.5975 0.0267 0.5896  1 S 1.47
O29 0.7279 0.1554 0.5270  1 S 1.47
O30 0.9062 0.3028 0.2420  1 Si 1.63
O31 0.2551 0.6865 0.2622  1 Si 1.62
O32 0.4121 0.2999 0.2474  1 Si 1.63
O33 0.5888 0.9612 0.1966  1 S 1.49
O34 0.8423 0.1797 0.7408  1 Si 1.63
O35 0.4362 0.4986 0.1464  1 Si 1.63, 1 Al 1.79
O36 0.3171 0.5036 0.6446  1 Si 1.64, 1 Al 1.81
O37 0.4111 0.0351 0.0815  1 S 1.52
O38 0.5781 0.1814 0.6913  1 Si 1.62, 1 Al 1.75
O39 0.7507 0.8278 0.7590  1 Si 1.62
O40 0.3921 0.9649 0.6941  1 S 1.50
O41 0.7595 0.8754 0.3620  1 S 1.48
O42 0.5149 0.8203 0.6943  1 S 1.49
O43 0.3407 0.5104 0.2439  1 Si 1.62
O44 0.1034 0.0545 0.3108  1 Si 1.61, 1 Al 1.80
O45 0.4861 0.1746 0.5903  1 S 1.50
O46 0.9734 0.1553 0.3097  1 Si 1.61, 1 Al 1.78
O47 0.1781 0.8631 0.8607  1 S 1.49
O48 0.0135 0.8279 0.4131  1 S 1.49
O49 0.9202 0.0469 0.8065  1 Si 1.60, 1 Al 1.79
O50 0.9223 0.7955 0.3099  1 Si 1.61, 1 Al 1.79
O51 0.2475 0.3167 0.7472  1 Si 1.63
O52 0.5806 0.6478 0.0728  1 Si 1.62
O53 0.5950 0.1521 0.8113  1 Si 1.65, 1 Al 1.79
O54 0.4244 0.8371 0.5945  1 Si 1.65, 1 Al 1.83
O55 0.4782 0.7860 0.8039  1 S 1.49
O56 0.3178 0.1325 0.4232  1 S 1.47
O57 0.4219 0.3019 0.5296  1 S 1.49
O58 0.6737 0.8631 0.8583  1 S 1.49
O59 0.7664 0.6993 0.9779  1 Si 1.64, 1 Al 1.83
O60 0.2439 0.1740 0.2380  1 Si 1.61
O61 0.0809 0.9541 0.1943  1 Si 1.70, 1 Nb 1.88
O62 0.4292 0.3503 0.9229  1 S 1.49
O63 0.0192 0.8127 0.6945  1 S 1.50
O64 0.5767 0.4581 0.9703  1 S 1.48
O65 0.7319 0.2965 0.0200  1 Si 1.61, 1 Al 1.78
O66 0.6787 0.8670 0.5771  1 S 1.49
O67 0.9026 0.9774 0.4127  1 S 1.50
O68 0.3512 0.1706 0.7438  1 S 1.48
O69 0.2646 0.8471 0.7579  1 S 1.51
O70 0.1540 0.4886 0.7581  1 Si 1.67
O71 0.9315 0.3738 0.6439  1 Si 1.62
O72 0.5604 0.4924 0.8607  1 S 1.48
O73 0.2428 0.1879 0.5220  1 Si 1.61
O74 0.9132 0.0310 0.0844  1 S 1.53
O75 0.4181 0.5307 0.0245  1 Si 1.60, 1 Al 1.72
O76 0.3184 0.1261 0.1386  1 S 1.47
O77 0.7537 0.8742 0.0789  1 S 1.49
O78 0.2507 0.6519 0.5753  1 Si 1.67, 1 Al 1.86
O79 0.0172 0.2048 0.9130  1 S 1.50
O80 0.8385 0.5076 0.2464  1 Si 1.62
O81 0.9303 0.3520 0.9239  1 S 1.46
O82 0.2562 0.1261 0.6403  1 Si 1.62, 1 Al 1.78
O83 0.3383 0.1601 0.0258  1 S 1.47
O84 0.2487 0.1291 0.9208  1 S 1.50
O85 0.0750 0.6859 0.4728  1 S 1.48
O86 0.9876 0.1658 0.5866  1 Si 1.68
O87 0.8135 0.5040 0.6460  1 Si 1.62
O88 0.1533 0.4624 0.4734  1 S 1.50
O89 0.8484 0.5250 0.5237  1 Si 1.61, 1 Al 1.77
O90 0.4224 0.4892 0.4228  1 Si 1.68, 1 Al 1.83
O91 0.7506 0.6300 0.8570  1 Si 1.65, 1 Al 1.78
O92 0.2440 0.3609 0.4189  1 S 1.48
O93 0.7480 0.1259 0.9185  1 S 1.49
O94 0.6048 0.0338 0.3061  1 S 1.48
O95 0.4107 0.0261 0.8044  1 S 1.47
O96 0.0984 0.1674 0.8154  1 Si 1.61
O97 0.4366 0.3652 0.6400  1 S 1.48
O98 0.2329 0.3087 0.0249  1 S 1.49
O99 0.6492 0.4802 0.7568  1 Si 1.64
O100 0.6845 0.5146 0.0776  1 Si 1.64
O101 0.0813 0.1995 0.4132  1 S 1.48
O102 0.5885 0.1988 0.4124  1 S 1.47
O103 0.0843 0.6926 0.7609  1 S 1.49
O104 0.5884 0.4845 0.2585  1 Si 1.64
O105 0.0957 0.0258 0.5877  1 Si 1.67
O106 0.9890 0.8032 0.8053  1 S 1.46
O107 0.9072 0.2840 0.5240  1 Si 1.61, 1 Al 1.79
O108 0.2523 0.6304 0.8555  1 Si 1.66, 1 Al 1.76
O109 0.3977 0.9693 0.4138  1 S 1.49
O110 0.0657 0.6449 0.3616  1 S 1.48
O111 0.1757 0.4899 0.3619  1 S 1.49
O112 0.0828 0.4845 0.2605  1 Si 1.62
O113 0.2635 0.6977 0.9750  1 Si 1.62, 1 Al 1.77
O114 0.4210 0.5280 0.7432  1 S 1.49
O115 0.6858 0.4840 0.3610  1 S 1.49
O116 0.5858 0.6932 0.4760  1 Si 1.62, 1 Al 1.75
O117 0.3561 0.5520 0.5219  1 Si 1.62, 1 Al 1.79
O118 0.6565 0.4618 0.4718  1 S 1.47
O119 0.9149 0.8496 0.9084  1 Si 1.64, 1 Al 1.80
O120 0.5694 0.6437 0.3551  1 Si 1.63, 1 Al 1.76
O121 0.4136 0.8490 0.9072  1 Si 1.64, 1 Al 1.80
O122 0.6569 0.8420 0.2582  1 S 1.49
O123 0.4175 0.7881 0.3126  1 Si 1.62, 1 Al 1.81
O124 0.8930 0.9561 0.6913  1 Si 1.69
O125 0.2558 0.8716 0.3615  1 S 1.48
O126 0.9327 0.5026 0.4210  1 S 1.50
O127 0.7394 0.3083 0.7438  1 Si 1.67
O128 0.9905 0.8207 0.0855  1 Si 1.71
O129 0.1561 0.8280 0.2617  1 Si 1.61
O130 0.5149 0.2021 0.9089  1 S 1.50
O131 0.9178 0.5341 0.0252  1 Si 1.60, 1 Al 1.76
O132 0.1782 0.8498 0.5713  1 Si 1.63
O133 0.5104 0.8456 0.4119  1 Si 1.67, 1 Al 1.85
O134 0.1525 0.8414 0.9717  1 S 1.47
O135 0.7415 0.6504 0.5720  1 Si 1.64
O136 0.0850 0.6470 0.0717  1 Si 1.62, 1 Al 1.81
O137 0.1835 0.4990 0.0755  1 S 1.48
O138 0.3191 0.4856 0.9218  1 Si 1.67, 1 Al 1.81
O139 0.9460 0.5208 0.1461  1 Si 1.63, 1 Al 1.79
O140 0.8929 0.8307 0.1923  1 Si 1.70
O141 0.2423 0.3557 0.1373  1 S 1.47
O142 0.3969 0.8421 0.1951  1 Si 1.65
O143 0.2508 0.8700 0.0764  1 S 1.47
O144 0.7527 0.3637 0.1436  1 Si 1.64, 1 Al 1.83
Si1 0.6938 0.3366 0.0821  4 O 1.61-1.66
Si2 0.1490 0.0054 0.2552  4 O 1.61-1.70
Si3 0.1482 0.2911 0.7565  4 O 1.61-1.69
Si4 0.8224 0.6062 0.5815  4 O 1.61-1.71
Si5 0.5013 0.2854 0.2561  4 O 1.61-1.66
Si6 0.8488 0.0020 0.7536  4 O 1.60-1.69
Si7 0.5240 0.6686 0.4176  4 O 1.62-1.68
Si8 0.8504 0.7030 0.2568  4 O 1.61-1.70
Si9 0.3415 0.6347 0.5844  4 O 1.62-1.67
Si10 0.1973 0.0519 0.5788  4 O 1.61-1.67
Si11 0.3526 0.7054 0.2545  4 O 1.62-1.65
Si12 0.3154 0.6735 0.9168  4 O 1.62-1.67
Si13 0.4801 0.6097 0.0830  4 O 1.60-1.69
Si14 0.9864 0.6199 0.0802  4 O 1.60-1.71
Si15 0.9730 0.3423 0.5813  4 O 1.61-1.68
Si16 0.6374 0.2818 0.7503  4 O 1.62-1.67
Si17 0.8154 0.6747 0.9168  4 O 1.64-1.67
Si18 0.9958 0.2901 0.2526  4 O 1.61-1.68
Al1 0.8358 0.3388 0.4823  2 O 1.77-1.79
Al2 0.3440 0.3580 0.4846  4 O 1.79-1.93
Al3 0.8444 0.3619 0.1834  4 O 1.79-1.91
Al4 0.8258 0.3310 0.6851  5 O 1.83-1.97
Al5 0.6628 0.6587 0.5163  3 O 1.75-1.93
Al6 0.3206 0.3224 0.6833  3 O 1.78-1.86
Al7 0.8353 0.3616 0.9820  3 O 1.76-1.82
Al8 0.1628 0.6629 0.3099  5 O 1.82-1.98
Al9 0.4969 0.9841 0.3530  4 O 1.80-1.97
Al10 0.9978 0.0005 0.3452  3 O 1.78-1.80
Al11 0.9923 0.0038 0.8522  4 O 1.79-2.00
Al12 0.6704 0.6518 0.8137  4 O 1.78-1.98
Al13 0.6597 0.6465 0.3159  4 O 1.76-1.95
Al14 0.4985 0.9921 0.8532  4 O 1.79-2.01
Al15 0.1692 0.6673 0.5247  5 O 1.83-2.01
Al16 0.3429 0.3436 0.1923  4 O 1.79-1.88
Al17 0.1713 0.6761 0.0177  3 O 1.77-1.91
Al18 0.5025 0.0030 0.6473  2 O 1.75-1.83
Al19 0.1710 0.6602 0.8183  4 O 1.76-1.96
Al20 0.6667 0.6570 0.0219  5 O 1.82-2.03
Al21 0.3420 0.3642 0.9794  2 O 1.72-1.81
S1 0.8318 0.0558 0.0814  4 O 1.45-1.53
S2 0.6452 0.9992 0.2517  4 O 1.48-1.49
S3 0.4992 0.7079 0.7498  4 O 1.47-1.49
S4 0.1625 0.3754 0.4167  4 O 1.48-1.50
S5 0.8125 0.9601 0.4169  4 O 1.48-1.50
S6 0.1673 0.9506 0.9163  4 O 1.47-1.50
S7 0.6864 0.0451 0.5823  4 O 1.47-1.50
S8 0.3274 0.0509 0.0803  4 O 1.47-1.52
S9 0.0202 0.3799 0.9178  4 O 1.46-1.51
S10 0.4782 0.3381 0.5847  4 O 1.48-1.50
S11 0.6669 0.9484 0.9158  4 O 1.47-1.51
S12 0.0222 0.6665 0.4173  4 O 1.48-1.50
S13 0.5210 0.3793 0.9159  4 O 1.48-1.50
S14 0.3086 0.9562 0.4170  4 O 1.47-1.50
S15 0.0048 0.7142 0.7542  4 O 1.46-1.50
S16 0.6687 0.3739 0.4178  4 O 1.47-1.50
S17 0.1931 0.3399 0.0811  4 O 1.47-1.51
S18 0.3564 0.0068 0.7508  4 O 1.47-1.51
Na1 0.5094 0.9947 0.4989  4 O 2.31-2.51
Na2 0.1692 0.6737 0.6651  6 O 2.46-2.59
Na3 0.0135 0.6963 0.5802  5 O 2.34-2.58
Na4 0.8199 0.9995 0.2513  4 O 2.30-2.48
Na5 0.9986 0.6347 0.2477  6 O 2.41-2.66
Na6 0.3363 0.3309 0.8342  6 O 2.42-2.53
Na7 0.3154 0.6300 0.7502  6 O 2.37-2.56
Na8 0.8091 0.6220 0.7502  6 O 2.38-2.54
Na9 0.9933 0.9820 0.9950  5 O 2.29-2.53
Na10 0.8300 0.9653 0.5787  5 O 2.32-2.51
Na11 0.4942 0.9762 0.9965  6 O 2.35-2.62
Na12 0.1699 0.3079 0.9124  5 O 2.27-2.54
Na13 0.6833 0.3700 0.2430  5 O 2.33-2.51
Na14 0.9986 0.9956 0.4931  6 O 2.37-2.61
Na15 0.8312 0.3328 0.8364  6 O 2.34-2.53
Na16 0.1618 0.6640 0.1636  6 O 2.38-2.65
Na17 0.6817 0.0066 0.7542  5 O 2.31-2.55
Na18 0.1821 0.3639 0.2507  5 O 2.39-2.66
Na19 0.8370 0.3385 0.3348  6 O 2.41-2.62
Na20 0.6586 0.6370 0.6672  5 O 2.33-2.60
Na21 0.3391 0.3327 0.3353  6 O 2.38-2.64
Na22 0.1616 0.3462 0.5810  4 O 2.32-2.58
Na23 0.3333 0.9655 0.5849  5 O 2.35-2.60
Na24 0.6552 0.6474 0.1607  4 O 2.33-2.55
Na25 0.9976 0.3539 0.7493  6 O 2.35-2.62
Na26 0.4974 0.6239 0.2524  6 O 2.40-2.56
Na27 0.3552 0.6654 0.4179  6 O 2.34-2.52
Na28 0.6706 0.3089 0.9164  5 O 2.30-2.54
Na29 0.8340 0.6896 0.0764  3 O 2.26-2.48
Na30 0.3189 0.9986 0.2496  4 O 2.29-2.46
Nb1 0.9978 0.0070 0.6434  5 O 1.92-2.01
Nb2 0.4953 0.0015 0.1399  5 O 1.91-2.08
Nb3 0.0012 0.9930 0.1484  4 O 1.88-1.97



Here is an optimized crystal structure of Pr3Ga2Ni4 from Materials Project. Energies are from PBE.

a b c (Å): 4.1010 5.3828 8.0840
angles (deg): 98.26 90.00 112.39
Last column: nearest neighbours and their distance in Å.
Sites, in units of the cell vectors:
Ni1 0.0847 0.1693 0.1376  2 Ga 2.48, 2 Ni 2.57-2.62
Ni2 0.9153 0.8307 0.8624  2 Ga 2.48, 2 Ni 2.57-2.62
Ni3 0.2612 0.5224 0.4139  3 Ga 2.39-2.42, 3 Ni 2.51-2.62
Ni4 0.7388 0.4776 0.5861  3 Ga 2.39-2.42, 3 Ni 2.51-2.62
Pr1 0.6231 0.2462 0.8796  6 Ni 2.79-2.99, 1 Ga 3.08
Pr2 0.3769 0.7538 0.1204  6 Ni 2.79-2.99, 1 Ga 3.08
Pr3 0.0000 0.0000 0.5000  2 Ni 2.79
Ga1 0.6775 0.3551 0.2850  5 Ni 2.39-2.48
Ga2 0.3225 0.6449 0.7150  5 Ni 2.39-2.48



Here is an optimized crystal structure of SrPSe3 from Materials Project. Energies are from PBE.

a b c (Å): 7.9130 7.1302 12.0217
angles (deg): 55.48 90.00 90.00
Last column: nearest neighbours and their distance in Å.
Sites, in units of the cell vectors:
P1 0.3943 0.6219 0.9364  3 Se 2.20-2.22, 1 P 2.27
P2 0.6057 0.3781 0.0636  3 Se 2.20-2.22, 1 P 2.27
P3 0.8943 0.3781 0.5636  3 Se 2.20-2.22, 1 P 2.27
P4 0.1057 0.6219 0.4364  3 Se 2.20-2.22, 1 P 2.27
Se1 0.4986 0.1326 0.2654  1 P 2.20
Se2 0.9986 0.8674 0.2346  1 P 2.20
Se3 0.6979 0.6062 0.5554  1 P 2.21
Se4 0.8005 0.2243 0.4586  1 P 2.22
Se5 0.8021 0.6062 0.0554  1 P 2.21
Se6 0.0014 0.1326 0.7654  1 P 2.20
Se7 0.6995 0.2243 0.9586  1 P 2.22
Se8 0.3021 0.3938 0.4446  1 P 2.21
Se9 0.1995 0.7757 0.5414  1 P 2.22
Se10 0.3005 0.7757 0.0414  1 P 2.22
Se11 0.5014 0.8674 0.7346  1 P 2.20
Se12 0.1979 0.3938 0.9446  1 P 2.21
Sr1 0.3904 0.2839 0.7511  8 Se 3.21-3.39
Sr2 0.6096 0.7161 0.2489  8 Se 3.21-3.39
Sr3 0.8904 0.7161 0.7489  8 Se 3.21-3.39
Sr4 0.1096 0.2839 0.2511  8 Se 3.21-3.39



Here is an optimized crystal structure of ZrTaB4 from Materials Project. Energies are from PBE.

a b c (Å): 3.1403 3.1403 6.8575
angles (deg): 90.00 90.00 120.00
Last column: nearest neighbours and their distance in Å.
Sites, in units of the cell vectors:
B1 0.3333 0.6667 0.7594  3 B 1.81
B2 0.6667 0.3333 0.2406  3 B 1.81
B3 0.3333 0.6667 0.2406  3 B 1.81
B4 0.6667 0.3333 0.7594  3 B 1.81
Zr1 0.0000 0.0000 0.5000  12 B 2.54
Ta1 0.0000 0.0000 0.0000  12 B 2.45



Here is an optimized crystal structure of Sr2GdCu2RuO8 from Materials Project. Energies are from PBE.

a b c (Å): 3.8557 3.8557 11.8942
angles (deg): 90.00 90.00 90.00
Last column: nearest neighbours and their distance in Å.
Sites, in units of the cell vectors:
O1 0.0000 0.0000 0.8288  1 Ru 2.04, 1 Cu 2.20
O2 0.5000 0.0000 0.0000  2 Ru 1.93
O3 0.0000 0.0000 0.1712  1 Ru 2.04, 1 Cu 2.20
O4 0.0000 0.5000 0.6259  2 Cu 1.94
O5 0.0000 0.5000 0.0000  2 Ru 1.93
O6 0.5000 0.0000 0.6259  2 Cu 1.94
O7 0.5000 0.0000 0.3741  2 Cu 1.94
O8 0.0000 0.5000 0.3741  2 Cu 1.94
Sr1 0.5000 0.5000 0.1921  12 O 2.74-2.99
Sr2 0.5000 0.5000 0.8079  12 O 2.74-2.99
Cu1 0.0000 0.0000 0.3561  4 O 1.94
Cu2 0.0000 0.0000 0.6439  4 O 1.94
Gd1 0.5000 0.5000 0.5000  8 O 2.44
Ru1 0.0000 0.0000 0.0000  6 O 1.93-2.04

polymorph energy (0 for the lowest one) = 27 meV/atom



Here is an optimized crystal structure of OsN2 from Materials Project. Energies are from PBE.

a b c (Å): 3.2194 3.2194 3.6767
angles (deg): 90.00 90.00 129.56
Last column: nearest neighbours and their distance in Å.
Sites, in units of the cell vectors:
N1 0.0097 0.9903 0.1866  1 N 1.37
N2 0.0097 0.9903 0.8134  1 N 1.37
Os1 0.3139 0.6861 0.5000  6 N 2.11-2.12

polymorph energy (0 for the lowest one) = 584 meV/atom



Here is an optimized crystal structure of MgTe4MoW3S4 from Materials Project. Energies are from PBE.

a b c (Å): 3.3704 3.3705 43.7803
angles (deg): 90.00 90.16 120.00
Last column: nearest neighbours and their distance in Å.
Sites, in units of the cell vectors:
W1 0.3296 0.6648 0.4776  6 S 2.46-2.47
W2 0.6666 0.3333 0.6577  6 Te 2.72
W3 0.3335 0.6668 0.0938  6 Te 2.72
Te1 0.3353 0.6676 0.7010  3 W 2.72
Te2 0.6648 0.3324 0.0505  3 W 2.72
Te3 0.3311 0.6655 0.6143  3 W 2.72
Te4 0.6692 0.3346 0.1371  3 W 2.72
S1 0.3345 0.6673 0.3122  3 Mo 2.46, 1 Mg 2.68
S2 0.3313 0.6657 0.2436  3 Mo 2.46
S3 0.6618 0.3309 0.4430  3 W 2.47
S4 0.6644 0.3322 0.5120  3 W 2.46
Mg1 0.3331 0.6666 0.3735  1 S 2.68
Mo1 0.6663 0.3332 0.2778  6 S 2.46

polymorph energy (0 for the lowest one) = 26 meV/atom



Number 1: DFT formation energy -2640 meV/atom, energy -6.63 eV per atom. Number 2: DFT formation energy -442 meV/atom, energy -5.28 eV per atom. Number 3: DFT formation energy -1241 meV/atom, energy -4.48 eV per atom. Number 4: DFT formation energy -836 meV/atom, energy -8.69 eV per atom. Number 5: DFT formation energy -2242 meV/atom, energy -7.17 eV per atom. Number 6: DFT formation energy 645 meV/atom, energy -8.41 eV per atom. Number 7: DFT formation energy -484 meV/atom, energy -6.52 eV per atom.